LaInPt: relaxed, meta-GGA r2SCAN.

Computed properties:
Spin magnetization: 0.00 Bohr magnetons per cell
Theoretical density: 10.35 g cm⁻³
Calculated volume: 24.00 Å³ per atom
Symmetry: P-62m
ΔH_f (0 K): -1118 meV/atom
Total DFT energy (no corrections): -35.72 eV/atom

Cell and atoms, written as POSCAR:
```
LaInPt
1.0
-5.515 4.685 2.692
-1.911 -6.248 -4.114
-0.199 -2.256 3.519
La In Pt
3 3 3
Direct
0.414 0.414 0.500
0.000 0.586 0.500
0.586 0.000 0.500
0.755 0.755 0.000
0.245 0.000 0.000
0.000 0.245 0.000
0.667 0.333 0.000
0.333 0.667 0.000
0.000 0.000 0.500
```